# Ti3Ag | Materials Project | PBE | relaxed
data_Ti3Ag
_chemical_formula_sum 'Ti3 Ag1'
_space_group_name_H-M_alt 'P 1'
_space_group_IT_number 1
_cell_length_a 4.099
_cell_length_b 4.099
_cell_length_c 4.099
_cell_angle_alpha 90.00
_cell_angle_beta 90.00
_cell_angle_gamma 90.00
loop_
_space_group_symop_operation_xyz
'x,y,z'
loop_
_atom_site_label
_atom_site_fract_x
_atom_site_fract_y
_atom_site_fract_z
Ti1 0.500 0.500 0.000
Ti2 0.500 0.000 0.500
Ti3 0.000 0.500 0.500
Ag1 0.000 0.000 0.000
# * symmetry: No. 221
# * calculated formation energy: 102 meV/atom
# * total DFT energy (no corrections): -26.112 eV/cell

***

# BiN | Materials Project | PBE | relaxed
data_BiN
_chemical_formula_sum 'Bi2 N2'
_space_group_name_H-M_alt 'P 1'
_space_group_IT_number 1
_cell_length_a 3.694
_cell_length_b 3.742
_cell_length_c 6.529
_cell_angle_alpha 93.02
_cell_angle_beta 56.37
_cell_angle_gamma 95.42
loop_
_space_group_symop_operation_xyz
'x,y,z'
loop_
_atom_site_label
_atom_site_fract_x
_atom_site_fract_y
_atom_site_fract_z
Bi1 0.611 0.096 0.039
Bi2 0.561 0.648 0.540
N1 0.239 0.050 0.454
N2 0.110 0.701 0.956
# * symmetry: No. 1
# * calculated formation energy: 495 meV/atom
# * total DFT energy (no corrections): -21.751 eV/cell

***

# RbAs2Rh2 | Materials Project | PBE | relaxed
data_RbAs2Rh2
_chemical_formula_sum 'Rb1 As2 Rh2'
_space_group_name_H-M_alt 'P 1'
_space_group_IT_number 1
_cell_length_a 7.648
_cell_length_b 7.648
_cell_length_c 7.648
_cell_angle_alpha 149.21
_cell_angle_beta 149.21
_cell_angle_gamma 44.11
loop_
_space_group_symop_operation_xyz
'x,y,z'
loop_
_atom_site_label
_atom_site_fract_x
_atom_site_fract_y
_atom_site_fract_z
Rb1 0.000 0.000 0.000
As1 0.347 0.347 0.000
As2 0.653 0.653 0.000
Rh1 0.750 0.250 0.500
Rh2 0.250 0.750 0.500
# * symmetry: No. 139
# * calculated formation energy: -606 meV/atom
# * total DFT energy (no corrections): -28.060 eV/cell